#w
## CoAgPO4 (GGA+U)

Data for a geometry-optimized CoAgPO4 structure.

The structure in POSCAR format:
```
CoAgPO4
1.0
5.735 0.000 0.000
1.317 6.458 0.000
1.813 2.027 9.097
Co Ag P O
4 4 4 16
Cartesian
0.000 0.000 0.000
1.424 1.370 3.176
4.518 5.362 1.978
5.950 6.790 5.150
1.697 3.479 5.988
1.497 3.059 0.117
4.465 3.729 5.031
6.083 5.375 8.258
1.469 4.847 2.841
3.121 6.623 6.216
4.662 2.238 8.000
4.491 1.910 2.297
1.715 3.408 3.282
3.160 7.120 7.665
1.803 1.342 5.184
2.737 5.736 3.051
3.372 3.101 8.256
4.403 5.750 5.950
3.220 1.037 2.095
5.988 7.521 9.026
4.641 1.744 6.545
4.263 3.343 1.824
4.934 1.869 3.813
5.953 3.105 8.227
5.962 5.474 3.581
5.744 1.282 1.564
7.571 5.757 5.993
6.774 4.915 1.316
```

Calculated values
Size of the total moment in μB per cell: 12.00
SG: No. 1

#x
## CoAgPO4 (GGA+U)

Data for a geometry-optimized CoAgPO4 structure.

The structure in POSCAR format:
```
CoAgPO4
1.0
5.754 0.000 0.000
1.267 6.485 0.000
1.818 2.163 9.198
Co Ag P O
4 4 4 16
Cartesian
1.399 0.841 1.933
2.885 2.345 5.177
5.954 6.304 4.022
7.440 7.808 7.265
3.120 4.391 8.002
2.940 3.929 2.181
5.899 4.720 7.018
5.719 4.257 1.196
2.911 5.801 4.868
4.522 7.550 8.276
4.316 1.099 0.922
5.927 2.847 4.330
1.414 2.199 3.617
3.237 6.661 8.083
2.512 5.822 3.338
3.139 4.369 5.358
2.761 5.888 0.527
3.156 2.241 7.250
4.186 6.673 5.075
3.018 1.922 1.232
5.820 6.726 7.967
4.653 1.975 4.123
5.683 6.407 1.949
6.078 2.760 8.671
5.699 4.279 3.840
6.327 2.827 5.861
5.602 1.987 1.115
7.424 6.449 5.581
```

Calculated values
Size of the total moment in μB per cell: 0.00
SG: No. 2

Name the most stable of them. #x.

#w
## LiZn2AgWO6 (GGA+U)

Data for a geometry-optimized LiZn2AgWO6 structure.

The structure in POSCAR format:
```
LiZn2AgWO6
1.0
5.470 0.000 0.000
2.647 4.842 0.000
1.802 1.902 5.127
Li Zn Ag W O
1 2 1 1 6
Cartesian
0.000 0.000 0.000
4.678 3.389 4.373
8.415 4.907 2.663
3.060 1.420 2.586
5.637 3.176 0.826
3.453 4.984 4.552
4.340 3.449 2.286
6.532 6.496 4.896
6.477 3.760 4.942
6.859 4.464 1.621
6.430 1.747 1.829
```

Calculated values
Size of the total moment in μB per cell: 0.00
SG: No. 1

#x
## LiZn2AgWO6 (GGA+U)

Data for a geometry-optimized LiZn2AgWO6 structure.

The structure in POSCAR format:
```
LiZn2AgWO6
1.0
5.690 0.000 0.000
-1.152 5.585 0.000
-1.691 -3.115 4.586
Li Zn Ag W O
1 2 1 1 6
Cartesian
0.000 0.000 0.000
0.278 -0.818 2.502
2.581 2.955 1.969
3.316 -0.387 4.434
-0.010 2.311 4.512
-1.400 3.017 3.239
0.198 4.446 0.835
0.322 0.834 3.397
2.492 1.336 1.021
2.582 -2.239 3.573
3.047 4.742 1.195
```

Calculated values
Size of the total moment in μB per cell: 0.00
SG: No. 1

Name the most stable of them. #w.

#w
## MgMn2Ag2O6 (GGA+U)

Data for a geometry-optimized MgMn2Ag2O6 structure.

The structure in POSCAR format:
```
MgMn2Ag2O6
1.0
2.561 1.479 5.850
-2.561 1.479 5.850
0.000 -2.957 5.850
Mg Mn Ag O
1 2 2 6
Cartesian
0.000 0.000 0.000
0.000 0.000 5.916
0.000 0.000 11.635
0.000 0.000 2.901
0.000 0.000 14.650
-1.685 -0.096 6.883
-0.760 -1.508 10.668
0.926 -1.412 6.883
-0.926 1.412 10.668
0.760 1.508 6.883
1.685 0.096 10.668
```

Calculated values
Size of the total moment in μB per cell: 6.00
SG: No. 148

#x
## MgMn2Ag2O6 (GGA+U)

Data for a geometry-optimized MgMn2Ag2O6 structure.

The structure in POSCAR format:
```
MgMn2Ag2O6
1.0
5.153 0.000 0.000
2.162 5.132 0.000
2.539 0.482 5.214
Mg Mn Ag O
1 2 2 6
Cartesian
0.000 0.000 0.000
2.299 2.025 2.194
4.877 0.606 2.717
4.656 3.965 2.475
7.375 3.406 5.097
3.855 2.181 3.328
6.123 4.732 4.054
3.410 0.498 1.438
6.491 0.974 3.670
5.841 1.549 1.216
7.595 4.025 1.742
```

Calculated values
Size of the total moment in μB per cell: 6.00
SG: No. 1

Name the most stable of them. #w.

#w
## MgV2Ag6O8 (GGA+U)

Data for a geometry-optimized MgV2Ag6O8 structure.

The structure in POSCAR format:
```
MgV2Ag6O8
1.0
5.587 0.000 0.000
2.680 5.109 0.000
1.160 0.114 9.725
Mg V Ag O
1 2 6 8
Cartesian
0.000 0.000 0.000
4.775 5.034 7.063
4.652 0.189 2.662
1.920 2.611 4.862
2.500 2.817 8.419
4.332 4.128 3.833
4.133 2.554 0.000
5.094 1.094 5.891
6.926 2.405 1.306
3.422 5.124 2.068
2.734 1.496 6.505
5.473 4.615 8.621
5.004 3.767 5.917
4.422 1.455 3.808
3.953 0.608 1.104
6.692 3.727 3.219
6.004 0.098 7.657
```

Calculated values
Size of the total moment in μB per cell: 0.00
SG: No. 2

#x
## MgV2Ag6O8 (GGA+U)

Data for a geometry-optimized MgV2Ag6O8 structure.

The structure in POSCAR format:
```
MgV2Ag6O8
1.0
4.895 -2.761 0.000
4.895 2.761 0.000
-4.327 0.000 9.651
Mg V Ag O
1 2 6 8
Cartesian
0.000 0.000 0.000
2.732 1.107 4.826
4.895 -0.004 0.000
2.310 1.411 1.663
-0.253 0.572 6.371
3.153 1.411 7.989
5.717 0.572 3.281
1.652 -1.796 6.825
3.812 -1.796 2.826
0.565 1.273 8.323
-0.745 -0.614 4.525
4.899 1.273 1.328
2.470 0.057 3.453
2.994 0.057 6.198
3.592 -1.264 0.381
1.871 -1.264 9.270
6.209 -0.614 5.127
```

Calculated values
Size of the total moment in μB per cell: 0.02
SG: No. 5

Name the most stable of them. #w.